KMnCl3 | the Materials Project | PBE-GGA | relaxed; calculated volume = 126.77 Å³/f.u.; E (MP2020) = -24.85 eV per formula unit; total energy = -23.004 eV per formula unit; calculated formation energy = -871 kJ/mol of formula units
1.0
-5.2338 -2.9410 -3.6534
-0.5202 -5.1785 4.9140
-6.6871 5.5345 5.1245
Mn Cl K
4 12 4
Direct
0.5000 0.0000 0.0000
0.5000 0.0000 0.5000
0.0000 0.5000 0.5000
0.0000 0.5000 0.0000
0.7072 0.2920 0.4691
0.2928 0.7080 0.9691
0.2928 0.7080 0.5309
0.4395 0.9936 0.2500
0.2072 0.2080 0.9691
0.7072 0.2920 0.0309
0.2072 0.2080 0.5309
0.0605 0.4936 0.2500
0.7928 0.7920 0.0309
0.7928 0.7920 0.4691
0.5605 0.0064 0.7500
0.9395 0.5064 0.7500
0.4873 0.4504 0.7500
0.0127 0.9504 0.7500
0.9873 0.0496 0.2500
0.5127 0.5496 0.2500


K2MnCl6 | the Materials Project | PBE-GGA | relaxed; calculated volume = 242.91 Å³/f.u.; E (MP2020) = -38.83 eV per formula unit; total energy = -35.146 eV per formula unit; calculated formation energy = -1578 kJ/mol of formula units
1.0
-4.9523 -4.9523 0.0000
-4.9523 0.0000 -4.9523
0.0000 -4.9523 -4.9523
Cl K Mn
6 2 1
Direct
0.2312 0.7688 0.7688
0.7688 0.2312 0.7688
0.7688 0.7688 0.2312
0.2312 0.2312 0.7688
0.2312 0.7688 0.2312
0.7688 0.2312 0.2312
0.7500 0.7500 0.7500
0.2500 0.2500 0.2500
0.0000 0.0000 0.0000


KMnCl | the Materials Project | PBE-GGA | relaxed; calculated volume = 103.50 Å³/f.u.; E (MP2020) = -13.23 eV per formula unit; magnetization = 4.90 μB/f.u.; total energy = -12.611 eV per formula unit; calculated formation energy = -107 kJ/mol of formula units
1.0
-3.0618 3.0704 5.5046
3.0618 -3.0704 5.5046
3.0618 3.0704 -5.5046
Mn Cl K
2 2 2
Direct
0.5000 0.0000 0.5000
0.0000 0.5000 0.5000
0.7500 0.2586 0.5086
0.2500 0.7414 0.4914
0.7500 0.7580 0.0080
0.2500 0.2420 0.9920


K3NaMnCl6 | the Materials Project | PBE-GGA | relaxed; calculated volume = 301.61 Å³/f.u.; E (MP2020) = -47.38 eV per formula unit; magnetization = 5.00 μB/f.u.; total energy = -43.697 eV per formula unit; calculated formation energy = -2168 kJ/mol of formula units
1.0
5.8623 -6.0940 0.0000
5.8623 6.0940 0.0000
-0.4726 0.0000 8.4427
Mn Cl K Na
2 12 6 2
Direct
0.5000 0.5000 0.5000
0.0000 0.0000 0.0000
0.2109 0.5446 0.4186
0.4554 0.5814 0.7891
0.2891 0.0814 0.9554
0.7109 0.9186 0.0446
0.9186 0.0446 0.7109
0.0446 0.7109 0.9186
0.0814 0.9554 0.2891
0.9554 0.2891 0.0814
0.5814 0.7891 0.4554
0.4186 0.2109 0.5446
0.7891 0.4554 0.5814
0.5446 0.4186 0.2109
0.8725 0.6275 0.2500
0.3725 0.7500 0.1275
0.1275 0.3725 0.7500
0.2500 0.8725 0.6275
0.7500 0.1275 0.3725
0.6275 0.2500 0.8725
0.7500 0.7500 0.7500
0.2500 0.2500 0.2500


K2MnNb6Cl18 | the Materials Project | PBE-GGA | relaxed; calculated volume = 643.70 Å³/f.u.; E (MP2020) = -152.51 eV per formula unit; magnetization = 5.00 μB/f.u.; total energy = -141.454 eV per formula unit; calculated formation energy = -4558 kJ/mol of formula units
1.0
8.9565 -4.6640 0.0000
8.9565 4.6640 0.0000
6.5278 0.0000 7.7046
Cl Nb K Mn
18 6 2 1
Direct
0.1553 0.5748 0.4387
0.1561 0.9690 0.6996
0.6996 0.1561 0.9690
0.5748 0.4387 0.1553
0.7803 0.0788 0.6384
0.3004 0.8439 0.0310
0.0310 0.3004 0.8439
0.9690 0.6996 0.1561
0.0788 0.6384 0.7803
0.8447 0.4252 0.5613
0.3616 0.2197 0.9212
0.4252 0.5613 0.8447
0.9212 0.3616 0.2197
0.6384 0.7803 0.0788
0.8439 0.0310 0.3004
0.2197 0.9212 0.3616
0.5613 0.8447 0.4252
0.4387 0.1553 0.5748
0.7045 0.5891 0.3468
0.2955 0.4109 0.6532
0.3468 0.7045 0.5891
0.6532 0.2955 0.4109
0.4109 0.6532 0.2955
0.5891 0.3468 0.7045
0.7221 0.7221 0.7221
0.2779 0.2779 0.2779
0.0000 0.0000 0.0000


KZr6MnCl14 | the Materials Project | PBE-GGA | relaxed; calculated volume = 585.06 Å³/f.u.; E (MP2020) = -132.45 eV per formula unit; magnetization = 0.00 μB/f.u.; total energy = -123.856 eV per formula unit; calculated formation energy = -4343 kJ/mol of formula units
1.0
-9.2725 -3.1270 1.4142
3.0475 -1.6214 9.2650
-3.3018 11.1657 3.0400
Cl K Zr Mn
28 2 12 2
Direct
0.9643 0.2087 0.7527
0.8997 0.3997 0.2500
0.4643 0.7087 0.7473
0.2087 0.9643 0.7527
0.2500 0.7500 0.5000
0.6371 0.8826 0.9929
0.1371 0.3826 0.5071
0.7500 0.2500 0.5000
0.1174 0.3629 0.0071
0.2500 0.7500 0.0000
0.3449 0.3449 0.7591
0.5357 0.2913 0.2527
0.0357 0.7913 0.2473
0.3629 0.1174 0.0071
0.8449 0.8449 0.7409
0.3826 0.1371 0.5071
0.8826 0.6371 0.9929
0.7500 0.2500 0.0000
0.1551 0.1551 0.2591
0.2913 0.5357 0.2527
0.7913 0.0357 0.2473
0.8629 0.6174 0.4929
0.3997 0.8997 0.2500
0.7087 0.4643 0.7473
0.6174 0.8629 0.4929
0.6551 0.6551 0.2409
0.1003 0.6003 0.7500
0.6003 0.1003 0.7500
0.0000 0.0000 0.5000
0.5000 0.5000 0.0000
0.1507 0.1507 0.8897
0.9520 0.1911 0.1182
0.0480 0.8089 0.8818
0.3089 0.5480 0.6182
0.1911 0.9520 0.1182
0.3493 0.3493 0.3897
0.6507 0.6507 0.6103
0.8089 0.0480 0.8818
0.6911 0.4520 0.3818
0.4520 0.6911 0.3818
0.5480 0.3089 0.6182
0.8493 0.8493 0.1103
0.5000 0.5000 0.5000
0.0000 0.0000 0.0000


K2MoCl6 | the Materials Project | PBE-GGA | relaxed; calculated volume = 252.51 Å³/f.u.; E (MP2020) = -40.31 eV per formula unit; total energy = -36.631 eV per formula unit; calculated formation energy = -1559 kJ/mol of formula units
1.0
3.8565 5.8411 1.1591
3.3758 3.1488 -5.3873
-2.2560 6.2775 -2.4160
Cl Mo K
6 1 2
Direct
0.7610 0.7610 0.2390
0.2390 0.7610 0.7610
0.7610 0.2390 0.2390
0.2390 0.7610 0.2390
0.7610 0.2390 0.7610
0.2390 0.2390 0.7610
0.0000 0.0000 0.0000
0.2500 0.2500 0.2500
0.7500 0.7500 0.7500


KOsNCl4O2 | the Materials Project | PBE-GGA | relaxed; calculated volume = 223.20 Å³/f.u.; E (MP2020) = -39.96 eV per formula unit; magnetization = 2.00 μB/f.u.; total energy = -38.582 eV per formula unit; calculated formation energy = -192 kJ/mol of formula units
1.0
4.7246 -6.3757 0.0000
4.7246 6.3757 0.0000
0.0000 0.0000 7.4097
K O Cl Os N
2 4 8 2 2
Direct
0.6504 0.3496 0.0004
0.3496 0.6504 0.5004
0.5792 0.4208 0.3720
0.8169 0.1831 0.7648
0.4208 0.5792 0.8720
0.1831 0.8169 0.2648
0.7864 0.8611 0.5371
0.5313 0.1311 0.5097
0.1311 0.5313 0.0097
0.4687 0.8689 0.0097
0.1389 0.2136 0.5371
0.8689 0.4687 0.5097
0.8611 0.7864 0.0371
0.2136 0.1389 0.0371
0.1608 0.8392 0.9957
0.8392 0.1608 0.4957
0.1677 0.8323 0.7675
0.8323 0.1677 0.2675


KPtNCl3O | the Materials Project | PBE-GGA | relaxed; calculated volume = 179.86 Å³/f.u.; E (MP2020) = -25.72 eV per formula unit; magnetization = 1.91 μB/f.u.; total energy = -25.028 eV per formula unit; calculated formation energy = 29 kJ/mol of formula units
1.0
2.1967 -9.8567 0.0000
2.1967 9.8567 0.0000
0.0000 0.0000 8.3068
N Cl O Pt K
2 6 2 2 2
Direct
0.2472 0.7528 0.2296
0.7528 0.2472 0.7296
0.6607 0.3393 0.0170
0.6498 0.3502 0.4586
0.5400 0.4600 0.7522
0.3502 0.6498 0.9586
0.4600 0.5400 0.2522
0.3393 0.6607 0.5170
0.0798 0.9202 0.3754
0.9202 0.0798 0.8754
0.3368 0.6632 0.2360
0.6632 0.3368 0.7360
0.0419 0.9581 0.0477
0.9581 0.0419 0.5477


KZr6NCl15 | the Materials Project | PBE-GGA | relaxed; calculated volume = 635.64 Å³/f.u.; E (MP2020) = -139.23 eV per formula unit; magnetization = 0.00 μB/f.u.; total energy = -130.022 eV per formula unit; calculated formation energy = -4899 kJ/mol of formula units
1.0
9.7503 0.0000 0.0000
0.0000 14.0169 0.0000
0.0000 0.0000 18.6039
Cl Zr N K
60 24 4 4
Direct
0.9179 0.1262 0.3394
0.3956 0.6279 0.3473
0.6586 0.2492 0.0620
0.3956 0.3721 0.1527
0.0000 0.7448 0.5000
0.6044 0.3721 0.8473
0.6586 0.7508 0.4380
0.9179 0.8738 0.1606
0.0815 0.6269 0.6543
0.2642 0.8713 0.4039
0.3423 0.5000 0.9428
0.8428 0.5000 0.7500
0.9185 0.3731 0.3457
0.0815 0.6269 0.8457
0.6543 0.0000 0.4337
0.0815 0.3731 0.6543
0.3414 0.2492 0.9380
0.3499 0.2441 0.7500
0.0821 0.8738 0.6606
0.6577 0.5000 0.0572
0.3423 0.5000 0.5572
0.6543 0.0000 0.0663
0.6044 0.3721 0.6527
0.6501 0.7559 0.2500
0.7358 0.8713 0.5961
0.9185 0.6269 0.3457
0.1572 0.5000 0.2500
0.9185 0.3731 0.1543
0.2642 0.1287 0.0961
0.3414 0.7508 0.5620
0.2642 0.1287 0.4039
0.0000 0.2552 0.0000
0.0821 0.1262 0.8394
0.7358 0.8713 0.9039
0.6044 0.6279 0.8473
0.3457 0.0000 0.5663
0.6044 0.6279 0.6527
0.8161 0.0000 0.7500
0.9179 0.1262 0.1606
0.3956 0.3721 0.3473
0.3414 0.2492 0.5620
0.3499 0.7559 0.7500
0.0815 0.3731 0.8457
0.0000 0.7448 0.0000
0.0821 0.8738 0.8394
0.7358 0.1287 0.9039
0.7358 0.1287 0.5961
0.6586 0.2492 0.4380
0.9179 0.8738 0.3394
0.3457 0.0000 0.9337
0.0000 0.2552 0.5000
0.9185 0.6269 0.1543
0.1839 0.0000 0.2500
0.3414 0.7508 0.9380
0.0821 0.1262 0.6606
0.6586 0.7508 0.0620
0.2642 0.8713 0.0961
0.3956 0.6279 0.1527
0.6501 0.2441 0.2500
0.6577 0.5000 0.4428
0.1561 0.1149 0.9705
0.3425 0.6154 0.6630
0.5715 0.5000 0.7500
0.8439 0.1149 0.4705
0.1155 0.5000 0.7500
0.6575 0.3846 0.1630
0.6575 0.3846 0.3370
0.9192 0.0000 0.8873
0.9192 0.0000 0.6127
0.6575 0.6154 0.1630
0.8845 0.5000 0.2500
0.1561 0.8851 0.5295
0.0808 0.0000 0.3873
0.8439 0.1149 0.0295
0.1561 0.1149 0.5295
0.1561 0.8851 0.9705
0.0808 0.0000 0.1127
0.3425 0.3846 0.6630
0.3425 0.3846 0.8370
0.6575 0.6154 0.3370
0.4285 0.5000 0.2500
0.8439 0.8851 0.0295
0.3425 0.6154 0.8370
0.8439 0.8851 0.4705
0.3438 0.5000 0.7500
0.0000 0.0000 0.5000
0.6562 0.5000 0.2500
0.0000 0.0000 0.0000
0.8308 0.7528 0.7500
0.1692 0.2472 0.2500
0.8308 0.2472 0.7500
0.1692 0.7528 0.2500


KNa4Cl5 | the Materials Project | PBE-GGA | relaxed; E above lowest polymorph = 0.05 eV/f.u.; calculated volume = 250.27 Å³/f.u.; E (MP2020) = -36.87 eV per formula unit; total energy = -33.797 eV per formula unit; calculated formation energy = -2048 kJ/mol of formula units
1.0
2.0623 6.8678 0.0000
-2.0623 6.8678 0.0000
0.0000 5.0111 8.8353
Cl Na K
5 4 1
Direct
0.3912 0.3912 0.8901
0.0000 0.0000 0.5000
0.7924 0.7924 0.3125
0.2076 0.2076 0.6875
0.6088 0.6088 0.1099
0.5996 0.5996 0.5976
0.1990 0.1990 0.2039
0.4004 0.4004 0.4024
0.8010 0.8010 0.7961
0.0000 0.0000 0.0000


K4NaCl5 | the Materials Project | PBE-GGA | relaxed; E above lowest polymorph = 0.00 eV/f.u.; calculated volume = 304.02 Å³/f.u.; E (MP2020) = -37.17 eV per formula unit; total energy = -34.102 eV per formula unit; calculated formation energy = -2139 kJ/mol of formula units
1.0
-17.5816 -4.0061 -2.9543
-15.9687 -8.0069 -3.8445
-16.9210 -6.8903 0.3084
Cl K Na
5 4 1
Direct
0.3048 0.3048 0.3048
0.6952 0.6952 0.6952
0.9024 0.9024 0.9024
0.5000 0.5000 0.5000
0.0976 0.0976 0.0976
0.7987 0.7987 0.7987
0.2013 0.2013 0.2013
0.6035 0.6035 0.6035
0.3965 0.3965 0.3965
0.0000 0.0000 0.0000


K4NaCl5 | the Materials Project | PBE-GGA | relaxed; E above lowest polymorph = 0.04 eV/f.u.; calculated volume = 306.09 Å³/f.u.; E (MP2020) = -37.13 eV per formula unit; total energy = -34.063 eV per formula unit; calculated formation energy = -2135 kJ/mol of formula units
1.0
-4.9344 4.9344 3.1429
4.9344 -4.9344 3.1429
4.9344 4.9344 -3.1429
Cl K Na
5 4 1
Direct
0.5000 0.5000 0.0000
0.2856 0.0938 0.3794
0.7144 0.9062 0.6206
0.9062 0.2856 0.1918
0.0938 0.7144 0.8082
0.7988 0.5989 0.3977
0.4011 0.7988 0.1999
0.5989 0.2012 0.8001
0.2012 0.4011 0.6023
0.0000 0.0000 0.0000


K4NaCl5 | the Materials Project | PBE-GGA | relaxed; E above lowest polymorph = 0.08 eV/f.u.; calculated volume = 307.41 Å³/f.u.; E (MP2020) = -37.09 eV per formula unit; total energy = -34.022 eV per formula unit; calculated formation energy = -2131 kJ/mol of formula units
1.0
4.9714 -13.2970 7.1131
8.4673 -8.9531 10.0134
-8.9509 11.4607 -6.3762
K Na Cl
4 1 5
Direct
0.8018 0.8018 0.0000
0.4027 0.4027 0.0000
0.5973 0.5973 0.0000
0.1982 0.1982 0.0000
0.0000 0.0000 0.0000
0.6997 0.6997 0.0000
0.9063 0.9063 0.0000
0.5000 0.5000 0.0000
0.3003 0.3003 0.0000
0.0937 0.0937 0.0000


K4NaCl5 | the Materials Project | PBE-GGA | relaxed; E above lowest polymorph = 0.04 eV/f.u.; calculated volume = 306.01 Å³/f.u.; E (MP2020) = -37.13 eV per formula unit; total energy = -34.062 eV per formula unit; calculated formation energy = -2135 kJ/mol of formula units
1.0
-2.1957 3.1485 11.0667
2.1957 -3.1485 11.0667
2.1957 3.1485 -11.0667
Cl K Na
5 4 1
Direct
0.7015 0.2015 0.5000
0.5000 0.0000 0.5000
0.2985 0.7985 0.5000
0.9108 0.4108 0.5000
0.0892 0.5892 0.5000
0.1947 0.1947 0.0000
0.8053 0.8053 0.0000
0.5980 0.5980 0.0000
0.4020 0.4020 0.0000
0.0000 0.0000 0.0000